Computed, not measured: crystalline K9NdP4S16 at its relaxed geometry at the PBE-GGA level of DFT.

Results
E_form = -38.92 eV/f.u.
Crystal system = monoclinic

Cell lengths 20.506, 9.868, 17.840 Å; angles 90.00, 115.82, 90.00 degrees
Space group C2/c (No. 15)
Symmetry-distinct sites (fractional):
K: 0.000 0.249 0.250 (multiplicity 4)
K: 0.082 0.007 0.478 (multiplicity 8)
K: 0.082 0.493 0.104 (multiplicity 8)
K: 0.241 0.246 0.372 (multiplicity 8)
K: 0.244 0.254 0.871 (multiplicity 8)
Nd: 0.000 0.251 0.750 (multiplicity 4)
P: 0.128 0.007 0.711 (multiplicity 8)
P: 0.128 0.495 0.916 (multiplicity 8)
S: 0.074 0.175 0.642 (multiplicity 8)
S: 0.074 0.327 0.932 (multiplicity 8)
S: 0.084 0.160 0.140 (multiplicity 8)
S: 0.084 0.339 0.444 (multiplicity 8)
S: 0.106 0.021 0.814 (multiplicity 8)
S: 0.106 0.481 0.792 (multiplicity 8)
S: 0.236 0.010 0.746 (multiplicity 8)
S: 0.237 0.493 0.990 (multiplicity 8)